# 1
Compound: Ta4GaSe8
Source: Materials Project
Functional: meta-GGA r2SCAN
Structure: relaxed

a = 10.449 Å, b = 10.449 Å, c = 10.449 Å
α = 90.00°, β = 90.00°, γ = 90.00°
Space group F-43m (No. 216)
Unique sites:
Ta: 0.102 0.102 0.398 [16 per cell]
Ga: 0.000 0.000 0.000 [4 per cell]
Se: 0.135 0.135 0.135 [16 per cell]
Se: 0.135 0.135 0.635 [16 per cell]

Output
* formation energy: -0.87 eV per atom
* uncorrected energy: -331.67 eV per formula unit


# 2
Compound: Ga2TeSe2
Source: Materials Project
Functional: meta-GGA r2SCAN
Structure: relaxed

a = 7.341 Å, b = 7.341 Å, c = 10.799 Å
α = 90.00°, β = 90.00°, γ = 90.00°
Space group I4_1md (No. 109)
Unique sites:
Ga: 0.000 0.225 0.000 [8 per cell]
Te: 0.000 0.000 0.603 [4 per cell]
Se: 0.000 0.252 0.224 [8 per cell]

Output
* formation energy: -0.62 eV per atom
* uncorrected energy: -80.03 eV per formula unit


# 3
Compound: V4GaSe8
Source: Materials Project
Functional: meta-GGA r2SCAN
Structure: relaxed

a = 10.205 Å, b = 10.205 Å, c = 10.205 Å
α = 90.00°, β = 90.00°, γ = 90.00°
Space group F-43m (No. 216)
Unique sites:
V: 0.104 0.104 0.104 [16 per cell]
Ga: 0.000 0.000 0.500 [4 per cell]
Se: 0.131 0.131 0.869 [16 per cell]
Se: 0.137 0.137 0.363 [16 per cell]

Output
* formation energy: -0.91 eV per atom
* uncorrected energy: -194.16 eV per formula unit


Question: Among the records above, which one has the highest uncorrected energy?
Answer: Ga2TeSe2


Question: Which value of uncorrected energy does entry 3 give?
Answer: -194.16 eV per formula unit


Question: Look up the uncorrected energy of the first one.
Answer: -331.67 eV per formula unit


Question: The lowest uncorrected energy belongs to which entry?
Answer: Ta4GaSe8